Record 1
Entry from the Materials Project: an optimized crystal structure of SrAs3 (PBE).

Computed properties:
DFT total energy (eV/atom): -4.52

Cell: 9.745 7.749 5.953 Å, 90.00 112.91 90.00°
Space group C2/m (No. 12)
Inequivalent atoms, fractional coordinates:
Sr (0.165, 0.000, 0.332)
As (0.005, 0.500, 0.215)
As (0.138, 0.231, 0.805)

=====

Record 2
Entry from the Materials Project: an optimized crystal structure of MgAg14Pb6O18 (PBE).

Computed properties:
Corrected total energy (MP2020 scheme) (eV/atom): -4.7629
DFT total energy (eV/atom): -4.45

Cell: 8.814 8.880 9.060 Å, 72.12 70.99 72.80°
Space group P1 (No. 1)
Inequivalent atoms, fractional coordinates:
Mg (0.000, 0.000, 0.000)
Ag (0.066, 0.213, 0.127)
Ag (0.135, 0.717, 0.662)
Ag (0.226, 0.292, 0.297)
Ag (0.298, 0.376, 0.844)
Ag (0.305, 0.866, 0.334)
Ag (0.381, 0.463, 0.427)
Ag (0.457, 0.044, 0.006)
Ag (0.545, 0.611, 0.568)
Ag (0.626, 0.214, 0.659)
Ag (0.696, 0.757, 0.724)
Ag (0.782, 0.391, 0.328)
Ag (0.815, 0.938, 0.834)
Ag (0.948, 0.573, 0.991)
Ag (0.972, 0.054, 0.485)
Pb (0.305, 0.035, 0.674)
Pb (0.311, 0.699, 0.002)
Pb (0.631, 0.373, 0.001)
Pb (0.640, 0.035, 0.323)
Pb (0.965, 0.710, 0.327)
Pb (0.968, 0.373, 0.667)
O (0.023, 0.076, 0.754)
O (0.027, 0.752, 0.051)
O (0.244, 0.684, 0.267)
O (0.256, 0.305, 0.659)
O (0.259, 0.979, 0.954)
O (0.324, 0.761, 0.736)
O (0.353, 0.429, 0.034)
O (0.362, 0.048, 0.403)
O (0.576, 0.642, 0.973)
O (0.582, 0.023, 0.592)
O (0.608, 0.311, 0.267)
O (0.668, 0.094, 0.051)
O (0.680, 0.390, 0.738)
O (0.697, 0.768, 0.362)
O (0.902, 0.364, 0.945)
O (0.925, 0.993, 0.249)
O (0.957, 0.663, 0.586)
O (0.976, 0.446, 0.380)

=====

Record 3
Entry from the Materials Project: an optimized crystal structure of NpSbPd2 (PBE).

Computed properties:
DFT total energy (eV/atom): -7.01

Cell: 6.778 6.778 6.778 Å, 90.00 90.00 90.00°
Space group Fm-3m (No. 225)
Inequivalent atoms, fractional coordinates:
Np (0.000, 0.000, 0.000)
Sb (0.000, 0.000, 0.500)
Pd (0.250, 0.250, 0.250)

=====

Record 4
Entry from the Materials Project: an optimized crystal structure of KCu3P3O8F6 (PBE).

Computed properties:
Corrected total energy (MP2020 scheme) (eV/atom): -6.1620
DFT total energy (eV/atom): -5.77

Cell: 19.279 7.615 7.917 Å, 90.00 102.87 90.00°
Space group C2/c (No. 15)
Inequivalent atoms, fractional coordinates:
K (0.000, 0.158, 0.250)
Cu (0.162, 0.467, 0.311)
Cu (0.250, 0.250, 0.000)
P (0.000, 0.376, 0.750)
P (0.174, 0.173, 0.590)
O (0.060, 0.476, 0.705)
O (0.132, 0.262, 0.428)
O (0.193, 0.292, 0.750)
O (0.236, 0.060, 0.566)
F (0.027, 0.237, 0.898)
F (0.117, 0.036, 0.632)
F (0.171, 0.342, 0.072)

=====

Record 5
Entry from the Materials Project: an optimized crystal structure of LaTa7O19 (PBE).

Computed properties:
Corrected total energy (MP2020 scheme) (eV/atom): -10.1749
Piezoelectric modulus e_max (C/m²): 0.1
DFT total energy (eV/atom): -9.69

Cell: 6.3007 6.3007 20.1960 Å, 90.00 90.00 120.00°
Space group P-6c2 (No. 188)
Inequivalent atoms, fractional coordinates:
La (0.0000, 0.0000, 0.0000)
Ta (0.0257, 0.3351, 0.1561)
Ta (0.3333, 0.6667, 0.0000)
O (0.0000, 0.0000, 0.1328)
O (0.0411, 0.2928, 0.2500)
O (0.0977, 0.3876, 0.0572)
O (0.3333, 0.6667, 0.1674)
O (0.4217, 0.0887, 0.6534)

=====

Record 6
Entry from the Materials Project: an optimized crystal structure of CaAsH7O7 (PBE).

Computed properties:
Corrected total energy (MP2020 scheme) (eV/atom): -5.7563
DFT total energy (eV/atom): -5.46

Cell: 10.854 11.371 11.118 Å, 90.00 90.00 90.00°
Space group Pbca (No. 61)
Inequivalent atoms, fractional coordinates:
Ca (0.086, 0.200, 0.249)
As (0.151, 0.504, 0.133)
H (0.039, 0.643, 0.505)
H (0.048, 0.583, 0.725)
H (0.106, 0.518, 0.927)
H (0.130, 0.631, 0.395)
H (0.157, 0.660, 0.674)
H (0.187, 0.212, 0.506)
H (0.236, 0.172, 0.943)
O (0.003, 0.026, 0.337)
O (0.043, 0.641, 0.417)
O (0.065, 0.656, 0.678)
O (0.178, 0.544, 0.981)
O (0.184, 0.144, 0.645)
O (0.189, 0.244, 0.928)
O (0.241, 0.591, 0.217)

=====

Number 1: energy relative to the elements -0.602 eV/atom, V 414 Å³/cell. Number 2: energy relative to the elements -0.850 eV/atom, V 623 Å³/cell. Number 3: energy relative to the elements -0.151 eV/atom, V 311 Å³/cell. Number 4: energy relative to the elements -2.318 eV/atom, V 1133 Å³/cell. Number 5: energy relative to the elements -3.436 eV/atom, V 694 Å³/cell. Number 6: energy relative to the elements -1.691 eV/atom, V 1372 Å³/cell.